First-principles (PBE-GGA) data for an optimized crystal structure of Rb3SbSe4, as listed in the Materials Project.

Calculated values
- Crystal system: orthorhombic
- Mass density: 3.69 g cm⁻³
- Volume: 1249 Å³/cell
- E (MP2020): -0.1371 hartree per atom
- Raw total energy: -3.494 eV per atom
- ΔE_f: -106.0 kJ per mole of atoms
- Symmetry: Pnma, No. 62

Cell: 10.0362 11.7021 10.6330 Å, 90.00 90.00 90.00°
Closest atoms and distances in Å follow each position.
Fractional coordinates of all 32 atoms:
Rb (0.0705, 0.0452, 0.1974)  6 Se 3.49-3.86
Rb (0.0705, 0.4548, 0.1974)  6 Se 3.49-3.86
Rb (0.1393, 0.7500, 0.4235)  5 Se 3.47-3.71
Rb (0.3607, 0.2500, 0.9235)  5 Se 3.47-3.71
Rb (0.4295, 0.5452, 0.6974)  6 Se 3.49-3.86
Rb (0.4295, 0.9548, 0.6974)  6 Se 3.49-3.86
Rb (0.5705, 0.0452, 0.3026)  6 Se 3.49-3.86
Rb (0.5705, 0.4548, 0.3026)  6 Se 3.49-3.86
Rb (0.6393, 0.7500, 0.0765)  5 Se 3.47-3.71
Rb (0.8607, 0.2500, 0.5765)  5 Se 3.47-3.71
Rb (0.9295, 0.5452, 0.8026)  6 Se 3.49-3.86
Rb (0.9295, 0.9548, 0.8026)  6 Se 3.49-3.86
Sb (0.2262, 0.7500, 0.9796)  4 Se 2.52-2.53
Sb (0.2738, 0.2500, 0.4796)  4 Se 2.52-2.53
Sb (0.7262, 0.7500, 0.5204)  4 Se 2.52-2.53
Sb (0.7738, 0.2500, 0.0204)  4 Se 2.52-2.53
Se (0.0086, 0.7500, 0.0998)  1 Sb 2.53
Se (0.1429, 0.0715, 0.5286)  1 Sb 2.52
Se (0.1429, 0.4285, 0.5286)  1 Sb 2.52
Se (0.1750, 0.7500, 0.7479)  1 Sb 2.52
Se (0.3250, 0.2500, 0.2479)  1 Sb 2.52
Se (0.3571, 0.5715, 0.0286)  1 Sb 2.52
Se (0.3571, 0.9285, 0.0286)  1 Sb 2.52
Se (0.4914, 0.2500, 0.5998)  1 Sb 2.53
Se (0.5086, 0.7500, 0.4002)  1 Sb 2.53
Se (0.6429, 0.0715, 0.9714)  1 Sb 2.52
Se (0.6429, 0.4285, 0.9714)  1 Sb 2.52
Se (0.6750, 0.7500, 0.7521)  1 Sb 2.52
Se (0.8250, 0.2500, 0.2521)  1 Sb 2.52
Se (0.8571, 0.5715, 0.4714)  1 Sb 2.52
Se (0.8571, 0.9285, 0.4714)  1 Sb 2.52
Se (0.9914, 0.2500, 0.9002)  1 Sb 2.53